1.
## Zr64S127 (GGA-PBE)

Data for Zr64S127 after structural relaxation.

- energy of formation from the pure elements (kJ/mol of formula units) = -33570
- total magnetic moment (μB per cell) = 0.05
- V (Å³ per atom) = 26.5
- energy (eV per atom) = -7.102

a = 14.8378 Å, b = 14.8378 Å, c = 26.5913 Å
α = 90.00°, β = 90.00°, γ = 120.00°
Fractional coordinates of all 191 atoms:
Zr 0.2500 0.5000 0.7502
S 0.6665 0.8338 0.9464
S 0.3327 0.9163 0.3042
Zr 0.7500 0.2500 0.0044
Zr 0.4994 0.5006 0.9997
S 0.0830 0.4165 0.8044
S 0.1631 0.8369 0.9486
S 0.6667 0.3333 0.6954
Zr 0.4994 0.7488 0.9997
S 0.3333 0.9168 0.8043
Zr 0.2500 0.7500 0.5000
S 0.8333 0.1667 0.5544
S 0.6665 0.5828 0.9464
Zr 0.5000 0.7500 0.7502
S 0.8336 0.9163 0.3042
S 0.9164 0.0836 0.1956
Zr 0.2500 0.5000 0.5000
S 0.8335 0.9168 0.8043
S 0.4167 0.3333 0.4455
S 0.0833 0.9167 0.3041
S 0.0786 0.6685 0.0522
S 0.6667 0.5829 0.1954
S 0.5835 0.6667 0.8046
S 0.0837 0.4168 0.3046
S 0.5825 0.4175 0.0587
S 0.0786 0.1600 0.0522
S 0.8338 0.4175 0.0570
Zr 0.0000 0.0000 0.7496
S 0.6667 0.8333 0.4455
Zr 0.2500 0.7500 0.7500
Zr 0.9855 0.0145 0.9890
Zr 0.7499 0.7499 0.2495
S 0.4167 0.3335 0.6956
S 0.6668 0.3332 0.1960
Zr 0.0000 0.5000 0.2503
Zr 0.2500 0.2500 0.5000
S 0.9167 0.8334 0.1950
S 0.0832 0.6667 0.8043
S 0.5825 0.9150 0.0587
S 0.4346 0.0923 0.9397
S 0.6667 0.3333 0.4456
S 0.4171 0.0836 0.1956
S 0.5833 0.1667 0.5544
S 0.8333 0.6667 0.5544
S 0.3333 0.6667 0.8046
S 0.3333 0.1665 0.8043
Zr 0.5000 0.2500 0.5000
S 0.6667 0.0833 0.6954
Zr 0.0000 0.0000 0.2498
S 0.6665 0.8331 0.6956
S 0.4168 0.0834 0.6953
S 0.3333 0.4167 0.5544
S 0.4167 0.8333 0.4455
S 0.3333 0.6667 0.5544
S 0.3315 0.1600 0.0522
S 0.8333 0.4166 0.8043
S 0.9164 0.3332 0.1960
S 0.9164 0.8332 0.6954
S 0.1667 0.8333 0.4456
S 0.1668 0.0836 0.6954
S 0.4167 0.8331 0.6956
Zr 0.7500 0.2500 0.7498
Zr 0.2500 0.2501 0.7500
Zr 0.2789 0.0145 0.9890
S 0.4167 0.5833 0.6957
S 0.5846 0.6673 0.0548
S 0.8400 0.6685 0.0522
S 0.3327 0.6673 0.0548
S 0.9166 0.0834 0.6953
S 0.6668 0.0836 0.1960
S 0.9151 0.3325 0.9474
S 0.3315 0.9214 0.0522
Zr 0.7501 0.0000 0.2503
S 0.4167 0.5833 0.4455
S 0.4171 0.3333 0.1954
Zr 0.5000 0.7500 0.5000
S 0.9238 0.8369 0.9486
Zr 0.2501 0.2501 0.2495
Zr 0.2500 0.2501 0.0003
Zr 0.2500 0.0000 0.5000
Zr 0.5000 0.5000 0.2499
Zr 0.0009 0.2566 0.0028
S 0.4171 0.8338 0.1954
Zr 0.0000 0.2500 0.7498
S 0.1631 0.0762 0.9486
S 0.8400 0.9214 0.0522
S 0.4167 0.5833 0.1954
S 0.0833 0.6667 0.5544
Zr 0.0009 0.4943 0.0028
S 0.5833 0.9166 0.5544
S 0.8336 0.6673 0.3042
S 0.6675 0.0849 0.9474
Zr 0.5057 0.9991 0.0028
S 0.6675 0.3325 0.9474
Zr 0.2512 0.5006 0.9997
S 0.8335 0.6667 0.8043
S 0.1669 0.5833 0.6956
Zr 0.2501 0.0000 0.2498
S 0.5833 0.6667 0.5544
S 0.8333 0.4167 0.5544
Zr 0.7500 0.5000 0.5000
Zr 0.0000 0.2499 0.2503
S 0.5836 0.6668 0.3042
Zr 0.2500 0.0000 0.7496
S 0.5832 0.9163 0.3046
Zr 0.0000 0.7500 0.5000
S 0.3333 0.1667 0.5544
Zr 0.7499 0.7500 0.7500
Zr 0.5057 0.2566 0.0028
S 0.1669 0.3335 0.6956
Zr 0.2500 0.5000 0.2499
S 0.9166 0.5832 0.6953
S 0.0850 0.4175 0.0587
Zr 0.5000 0.0000 0.2503
Zr 0.5000 0.7500 0.2499
S 0.5835 0.9170 0.8044
Zr 0.7434 0.9991 0.0028
Zr 0.0000 0.5000 0.7498
S 0.5830 0.1665 0.3048
S 0.8333 0.9167 0.5544
S 0.3333 0.4165 0.8046
S 0.1666 0.0833 0.1950
S 0.0832 0.1665 0.8043
Zr 0.5000 0.0000 0.5000
S 0.6667 0.5833 0.4455
S 0.0834 0.4167 0.5544
S 0.0833 0.9167 0.5544
S 0.4172 0.8338 0.9464
S 0.9166 0.3333 0.4456
S 0.3327 0.4154 0.0548
Zr 0.0000 0.7499 0.2498
Zr 0.0000 0.7500 0.7496
S 0.1668 0.8332 0.6954
S 0.9167 0.5833 0.4456
Zr 0.0000 0.2500 0.5000
S 0.9167 0.3333 0.6954
Zr 0.7500 0.5000 0.7498
Zr 0.7500 0.2500 0.5000
Zr 0.0000 0.0000 0.5000
S 0.5825 0.1662 0.0570
S 0.1667 0.0833 0.4456
S 0.6667 0.8338 0.1954
S 0.3332 0.4164 0.3042
S 0.3327 0.1664 0.3042
S 0.0837 0.6673 0.3042
S 0.1662 0.5828 0.9464
Zr 0.5000 0.0000 0.7498
S 0.8335 0.4170 0.3048
S 0.0837 0.1664 0.3042
Zr 0.7434 0.4943 0.0028
S 0.9167 0.8333 0.4456
Zr 0.5000 0.5000 0.5000
S 0.1666 0.8334 0.1950
S 0.5835 0.4165 0.8044
Zr 0.7499 0.7500 0.0003
S 0.3333 0.9167 0.5544
Zr 0.2500 0.7500 0.0003
S 0.6665 0.5833 0.6956
S 0.1667 0.3333 0.4455
S 0.8333 0.1667 0.8043
Zr 0.0000 0.5000 0.5000
S 0.4167 0.0833 0.4456
Zr 0.7501 0.5000 0.2503
S 0.1662 0.3333 0.1954
S 0.4167 0.5833 0.9449
S 0.1662 0.5829 0.1954
S 0.0833 0.9167 0.8041
Zr 0.2501 0.7499 0.2495
S 0.5832 0.4168 0.3046
S 0.1667 0.5833 0.4455
S 0.9077 0.5654 0.9397
Zr 0.5000 0.5000 0.7502
Zr 0.9855 0.7211 0.9890
Zr 0.7500 0.7500 0.5000
S 0.1662 0.3335 0.9464
S 0.9077 0.0923 0.9397
Zr 0.5000 0.2499 0.2503
Zr 0.5000 0.2500 0.7498
S 0.0833 0.1667 0.5544
S 0.5833 0.4167 0.5544
Zr 0.7500 0.2500 0.2505
S 0.3332 0.6668 0.3042
S 0.8338 0.1662 0.0570
Zr 0.7500 0.0000 0.7498
S 0.4172 0.3335 0.9464
S 0.6667 0.0834 0.4456
Zr 0.7500 0.0000 0.5000
S 0.9167 0.0833 0.4456
S 0.5834 0.1667 0.8043
S 0.9164 0.5829 0.1956
S 0.8335 0.1665 0.3048

2.
## Zr3S4 (GGA-PBE)

Data for Zr3S4 after structural relaxation.

- energy of formation from the pure elements (kJ/mol of formula units) = -1257
- total magnetic moment (μB per cell) = 0.00
- V (Å³ per atom) = 20.0
- energy (eV per atom) = -7.601

a = 7.3525 Å, b = 7.3677 Å, c = 29.3351 Å
α = 59.88°, β = 60.10°, γ = 59.61°
Fractional coordinates of all 56 atoms:
S 0.7264 0.7698 0.0678
S 0.2528 0.2529 0.5638
Zr 0.0157 0.9838 0.8803
S 0.2655 0.7322 0.9445
Zr 0.0121 0.9991 0.2524
S 0.7390 0.7633 0.9369
S 0.7363 0.2562 0.9370
S 0.7462 0.2505 0.8142
S 0.7367 0.2590 0.5610
Zr 0.4781 0.9942 0.8737
Zr 0.5151 0.9972 0.2466
S 0.2473 0.2560 0.0625
Zr 0.9860 0.5346 0.9991
S 0.2379 0.2640 0.9360
Zr 0.5000 0.0000 0.6250
S 0.2538 0.7495 0.4358
S 0.2637 0.7438 0.3130
S 0.7513 0.2605 0.0601
S 0.2523 0.7444 0.0604
S 0.2610 0.2367 0.3131
S 0.7618 0.7373 0.8171
Zr 0.4791 0.5393 0.8731
Zr 0.0140 0.4654 0.2509
Zr 0.0142 0.0047 0.5024
Zr 0.5129 0.9901 0.7520
Zr 0.0138 0.4694 0.5024
Zr 0.9862 0.5306 0.7476
S 0.7587 0.7401 0.4393
S 0.2386 0.2552 0.6881
S 0.2546 0.7385 0.5634
S 0.7614 0.7448 0.5619
S 0.2736 0.2302 0.1822
S 0.7472 0.7471 0.6862
S 0.2382 0.2627 0.4329
Zr 0.9858 0.9953 0.7476
S 0.7345 0.2678 0.3055
S 0.2487 0.7395 0.1899
S 0.2423 0.7589 0.8104
Zr 0.4871 0.0099 0.4980
S 0.2633 0.7410 0.6890
Zr 0.0000 0.0000 0.1250
S 0.2413 0.2599 0.8107
Zr 0.9843 0.0162 0.3697
Zr 0.5000 0.5000 0.6250
S 0.7477 0.2556 0.1896
Zr 0.0000 0.0000 0.6250
S 0.7577 0.2411 0.4396
Zr 0.5000 0.5000 0.1250
Zr 0.5209 0.4607 0.3769
S 0.7454 0.2615 0.6866
S 0.7621 0.7360 0.3140
Zr 0.0000 0.5000 0.1250
Zr 0.4849 0.0028 0.0034
S 0.7527 0.7440 0.1875
Zr 0.9879 0.0009 0.9976
Zr 0.5219 0.0058 0.3763

3.
## Zr3S4 (GGA-PBE)

Data for Zr3S4 after structural relaxation.

- energy of formation from the pure elements (kJ/mol of formula units) = -1251
- V (Å³ per atom) = 19.8
- energy (eV per atom) = -7.591

a = 6.2983 Å, b = 6.2983 Å, c = 3.6919 Å
α = 90.00°, β = 90.00°, γ = 108.67°
Fractional coordinates of all 7 atoms:
Zr 0.5000 0.0000 0.5000
Zr 0.0000 0.5000 0.5000
S 0.7388 0.2612 0.0000
Zr 0.0000 0.0000 0.0000
S 0.2612 0.7388 0.0000
S 0.2556 0.2556 0.5000
S 0.7444 0.7444 0.5000

4.
## Zr3S2 (GGA-PBE)

Data for Zr3S2 after structural relaxation.

- energy of formation from the pure elements (kJ/mol of formula units) = -607
- total magnetic moment (μB per cell) = 0.00
- V (Å³ per atom) = 20.4
- energy (eV per atom) = -7.841

a = 4.8371 Å, b = 4.8371 Å, c = 4.8371 Å
α = 73.75°, β = 73.75°, γ = 73.75°
Fractional coordinates of all 5 atoms:
S 0.6650 0.6650 0.6650
Zr 0.5000 0.1613 0.8387
Zr 0.1613 0.8387 0.5000
S 0.3350 0.3350 0.3350
Zr 0.8387 0.5000 0.1613